# 1
A plane-wave DFT calculation with PBE was carried out for an optimized crystal structure of NbCr2.

Computed properties:
- E_form: 0.2001 eV per atom
- Crystal system: tetragonal
- Volume: 14.4 A^3/atom
- Raw total energy: -9.602 eV per atom
- Magnetization: 0.00 μB per atom

The structure in POSCAR format:
```
NbCr2
1.0
-4.006 4.006 5.390
4.006 -4.006 5.390
4.006 4.006 -5.390
Nb Cr
8 16
direct
0.341 0.341 0.000
0.659 0.659 0.000
0.553 0.053 0.106
0.947 0.447 0.894
0.947 0.053 0.500
0.553 0.447 0.500
0.940 0.440 0.500
0.560 0.060 0.500
0.128 0.377 0.249
0.121 0.872 0.249
0.623 0.872 0.751
0.128 0.879 0.751
0.915 0.757 0.841
0.926 0.085 0.841
0.243 0.085 0.159
0.915 0.074 0.159
0.340 0.003 0.663
0.323 0.660 0.663
0.997 0.660 0.337
0.340 0.677 0.337
0.706 0.706 0.412
0.294 0.294 0.588
0.294 0.706 0.000
0.706 0.294 0.000
```

# 2
A plane-wave DFT calculation with PBE was carried out for an optimized crystal structure of CrGa3Fe2Se8.

Computed properties:
- E_form: -0.5578 eV per atom
- Crystal system: monoclinic
- Volume: 24.1 A^3/atom
- Raw total energy: -4.834 eV per atom
- Magnetization: 0.78 μB per atom

The structure in POSCAR format:
```
CrGa3Fe2Se8
1.0
-1.979 2.784 -1.751
-3.117 1.419 5.782
8.396 9.058 4.913
Cr Ga Fe Se
1 3 2 8
direct
0.000 0.762 0.707
0.000 0.996 0.002
0.500 0.503 0.002
0.500 0.266 0.703
0.500 0.735 0.291
0.000 0.237 0.290
0.500 0.625 0.627
0.000 0.125 0.625
0.500 0.381 0.363
0.000 0.880 0.363
0.500 0.205 0.892
0.000 0.703 0.892
0.500 0.797 0.110
0.000 0.295 0.109
```

# 3
A plane-wave DFT calculation with PBE was carried out for an optimized crystal structure of CsCu2AsS3.

Computed properties:
- E_form: -0.6971 eV per atom
- Crystal system: orthorhombic
- Volume: 24.5 A^3/atom
- Raw total energy: -4.219 eV per atom
- Magnetization: 0.00 μB per atom

The structure in POSCAR format:
```
CsCu2AsS3
1.0
-4.712 5.634 -6.095
-9.066 -3.416 3.852
0.123 10.151 9.289
Cs Cu As S
8 16 8 24
direct
0.818 0.104 0.441
0.318 0.396 0.559
0.182 0.604 0.059
0.682 0.896 0.941
0.182 0.896 0.559
0.682 0.604 0.441
0.818 0.396 0.941
0.318 0.104 0.059
0.575 0.605 0.137
0.075 0.895 0.863
0.425 0.105 0.363
0.925 0.395 0.637
0.425 0.395 0.863
0.925 0.105 0.137
0.575 0.895 0.637
0.075 0.605 0.363
0.384 0.441 0.272
0.884 0.059 0.728
0.616 0.941 0.228
0.116 0.559 0.772
0.616 0.559 0.728
0.116 0.941 0.272
0.384 0.059 0.772
0.884 0.441 0.228
0.663 0.316 0.215
0.163 0.184 0.785
0.337 0.816 0.285
0.837 0.684 0.715
0.337 0.684 0.785
0.837 0.816 0.215
0.663 0.184 0.715
0.163 0.316 0.285
0.311 0.616 0.352
0.811 0.884 0.648
0.689 0.116 0.148
0.189 0.384 0.852
0.689 0.384 0.648
0.189 0.116 0.352
0.311 0.884 0.852
0.811 0.616 0.148
0.538 0.294 0.355
0.038 0.206 0.645
0.462 0.794 0.145
0.962 0.706 0.855
0.462 0.706 0.645
0.962 0.794 0.355
0.538 0.206 0.855
0.038 0.294 0.145
0.488 0.408 0.121
0.988 0.092 0.879
0.512 0.908 0.379
0.012 0.592 0.621
0.512 0.592 0.879
0.012 0.908 0.121
0.488 0.092 0.621
0.988 0.408 0.379
```

# 4
A plane-wave DFT calculation with PBE was carried out for an optimized crystal structure of EuGaO3.

Computed properties:
- E_form: -2.6991 eV per atom
- Crystal system: hexagonal
- Volume: 13.6 A^3/atom
- Raw total energy: -7.913 eV per atom
- Magnetization: 1.20 μB per atom

The structure in POSCAR format:
```
EuGaO3
1.0
-1.653 -0.078 3.279
-1.326 -2.009 -2.774
6.754 -8.871 3.195
Eu Ga O
2 2 6
direct
0.000 0.000 0.000
0.000 0.000 0.500
0.333 0.667 0.250
0.667 0.333 0.750
0.333 0.667 0.088
0.667 0.333 0.912
0.667 0.333 0.588
0.333 0.667 0.412
0.000 0.000 0.250
0.000 0.000 0.750
```